(1)
# Cs3P3HO9

An optimized crystal structure of Cs3P3HO9 (GGA-PBE, the Materials Project).

```
Cs3P3HO9
1.0
-1.532 7.900 0.076
-7.790 -0.791 2.804
-0.397 0.685 10.693
O Cs P H
18 6 6 2
direct
0.388 0.136 0.103
0.063 0.839 0.745
0.740 0.140 0.728
0.477 0.019 0.677
0.260 0.860 0.272
0.145 0.172 0.952
0.756 0.855 0.681
0.948 0.596 0.685
0.937 0.161 0.255
0.359 0.410 0.899
0.612 0.864 0.897
0.052 0.404 0.315
0.855 0.828 0.048
0.523 0.981 0.323
0.244 0.145 0.319
0.848 0.640 0.903
0.641 0.590 0.101
0.152 0.360 0.097
0.630 0.293 0.369
0.370 0.707 0.631
0.760 0.241 0.981
0.111 0.212 0.666
0.240 0.759 0.019
0.889 0.788 0.334
0.921 0.731 0.748
0.642 0.989 0.740
0.257 0.272 0.998
0.079 0.269 0.252
0.743 0.728 0.002
0.358 0.011 0.260
0.292 0.521 0.411
0.708 0.479 0.589
```

Calculated values
**M_tot**: 0.06 μB per atom
**Uncorrected energy**: -6.146 eV per atom
**Density**: 3.18 g cm⁻³

(2)
# CsScP2H2O8

An optimized crystal structure of CsScP2H2O8 (GGA-PBE, the Materials Project).

```
CsScP2H2O8
1.0
9.324 0.000 0.000
0.000 5.427 0.000
0.000 1.148 14.896
O H Sc P Cs
32 8 4 8 4
direct
0.808 0.783 0.396
0.808 0.968 0.221
0.795 0.237 0.587
0.886 0.455 0.919
0.826 0.743 0.040
0.455 0.089 0.603
0.308 0.032 0.279
0.545 0.911 0.397
0.326 0.257 0.460
0.351 0.565 0.292
0.614 0.455 0.419
0.174 0.257 0.960
0.599 0.262 0.236
0.674 0.743 0.540
0.649 0.435 0.708
0.192 0.032 0.779
0.692 0.968 0.721
0.955 0.911 0.897
0.295 0.763 0.913
0.099 0.738 0.264
0.901 0.262 0.736
0.045 0.089 0.103
0.401 0.738 0.764
0.149 0.565 0.792
0.192 0.217 0.604
0.114 0.545 0.081
0.308 0.217 0.104
0.705 0.237 0.087
0.386 0.545 0.581
0.851 0.435 0.208
0.692 0.783 0.896
0.205 0.763 0.413
0.802 0.834 0.330
0.302 0.166 0.170
0.698 0.834 0.830
0.198 0.166 0.670
0.710 0.254 0.548
0.790 0.254 0.048
0.290 0.746 0.452
0.210 0.746 0.952
0.536 0.748 0.651
0.036 0.252 0.849
0.964 0.748 0.151
0.464 0.252 0.349
0.849 0.722 0.939
0.745 0.227 0.193
0.151 0.278 0.061
0.651 0.722 0.439
0.255 0.773 0.807
0.349 0.278 0.561
0.245 0.773 0.307
0.755 0.227 0.693
0.504 0.731 0.112
0.496 0.269 0.888
0.996 0.731 0.612
0.004 0.269 0.388
```

Calculated values
**M_tot**: 0.00 μB per atom
**Uncorrected energy**: -6.910 eV per atom
**Density**: 3.26 g cm⁻³

(3)
# CsTmP4H12O18

An optimized crystal structure of CsTmP4H12O18 (GGA-PBE, the Materials Project).

```
CsTmP4H12O18
1.0
-6.231 -3.925 1.907
3.530 2.467 6.271
-8.272 12.703 -0.104
H P O Cs Tm
24 8 36 2 2
direct
0.478 0.964 0.275
0.388 0.880 0.611
0.224 0.680 0.607
0.670 0.271 0.610
0.330 0.729 0.390
0.494 0.125 0.818
0.680 0.224 0.107
0.120 0.612 0.889
0.728 0.458 0.554
0.776 0.320 0.393
0.271 0.670 0.110
0.036 0.522 0.225
0.542 0.272 0.946
0.125 0.494 0.318
0.964 0.478 0.775
0.458 0.728 0.054
0.880 0.388 0.111
0.506 0.875 0.182
0.320 0.776 0.893
0.875 0.506 0.682
0.612 0.120 0.389
0.729 0.330 0.890
0.272 0.542 0.446
0.522 0.036 0.725
0.833 0.756 0.426
0.790 0.963 0.586
0.037 0.210 0.914
0.210 0.037 0.414
0.167 0.244 0.574
0.963 0.790 0.086
0.244 0.167 0.074
0.756 0.833 0.926
0.138 0.130 0.848
0.700 0.407 0.615
0.805 0.261 0.133
0.450 0.224 0.059
0.870 0.862 0.652
0.739 0.195 0.367
0.407 0.700 0.115
0.567 0.974 0.227
0.433 0.026 0.773
0.130 0.138 0.348
0.593 0.300 0.885
0.862 0.870 0.152
0.197 0.169 0.663
0.026 0.433 0.273
0.949 0.149 0.547
0.374 0.982 0.385
0.982 0.374 0.885
0.261 0.805 0.633
0.839 0.725 0.000
0.161 0.275 0.000
0.275 0.161 0.500
0.195 0.739 0.867
0.051 0.851 0.453
0.831 0.803 0.837
0.803 0.831 0.337
0.169 0.197 0.163
0.626 0.018 0.615
0.725 0.839 0.500
0.149 0.949 0.047
0.018 0.626 0.115
0.550 0.776 0.941
0.974 0.567 0.727
0.776 0.550 0.441
0.224 0.450 0.559
0.300 0.593 0.385
0.851 0.051 0.953
0.537 0.463 0.250
0.463 0.537 0.750
0.894 0.106 0.250
0.106 0.894 0.750
```

Calculated values
**M_tot**: 0.00 μB per atom
**Uncorrected energy**: -6.108 eV per atom
**Density**: 2.92 g cm⁻³

(4)
# Cs2U3P6H4O20

An optimized crystal structure of Cs2U3P6H4O20 (GGA-PBE, the Materials Project).

```
Cs2U3P6H4O20
1.0
-9.467 -8.475 -3.753
-4.915 -10.401 -6.573
1.051 -5.444 5.414
O Cs U P H
20 2 3 6 4
direct
0.270 0.270 0.985
0.171 0.723 0.411
0.723 0.171 0.411
0.157 0.608 0.969
0.875 0.875 0.293
0.829 0.277 0.589
0.608 0.157 0.969
0.392 0.843 0.031
0.277 0.829 0.589
0.805 0.805 0.776
0.125 0.125 0.707
0.730 0.730 0.015
0.195 0.195 0.224
0.501 0.058 0.265
0.058 0.501 0.265
0.451 0.451 0.763
0.499 0.942 0.735
0.549 0.549 0.237
0.843 0.392 0.031
0.942 0.499 0.735
0.669 0.669 0.421
0.331 0.331 0.579
0.821 0.821 0.078
0.500 0.500 0.500
0.179 0.179 0.922
0.933 0.933 0.317
0.067 0.067 0.683
0.256 0.256 0.188
0.415 0.415 0.943
0.585 0.585 0.057
0.744 0.744 0.812
0.449 0.449 0.068
0.964 0.964 0.151
0.551 0.551 0.932
0.036 0.036 0.849
```

Calculated values
**M_tot**: 0.17 μB per atom
**Uncorrected energy**: -7.416 eV per atom
**Density**: 4.39 g cm⁻³

(5)
# CsZn2P2HO8

An optimized crystal structure of CsZn2P2HO8 (GGA-PBE, the Materials Project).

```
CsZn2P2HO8
1.0
3.815 7.866 -0.581
-7.034 -3.863 -3.517
-4.463 2.612 6.058
O P Zn Cs H
16 4 4 2 2
direct
0.053 0.947 0.393
0.856 0.538 0.939
0.799 0.201 0.699
0.644 0.962 0.439
0.356 0.038 0.561
0.299 0.701 0.801
0.144 0.462 0.061
0.553 0.447 0.107
0.962 0.644 0.561
0.462 0.144 0.939
0.947 0.053 0.607
0.201 0.799 0.301
0.038 0.356 0.439
0.701 0.299 0.199
0.538 0.856 0.061
0.447 0.553 0.893
0.143 0.857 0.461
0.857 0.143 0.539
0.643 0.357 0.039
0.357 0.643 0.961
0.483 0.017 0.750
0.983 0.517 0.750
0.017 0.483 0.250
0.517 0.983 0.250
0.500 0.500 0.500
0.000 0.000 0.000
0.500 0.500 0.000
0.000 0.000 0.500
```

Calculated values
**Uncorrected energy**: -6.069 eV per atom
**Density**: 3.55 g cm⁻³

(6)
# CsH24RuS2O20

An optimized crystal structure of CsH24RuS2O20 (GGA-PBE, the Materials Project).

```
CsH24RuS2O20
1.0
-8.836 -3.483 8.088
3.742 -11.856 -1.018
7.971 1.705 9.443
O H S Ru Cs
80 96 8 4 4
direct
0.779 0.166 0.564
0.791 0.843 0.447
0.436 0.221 0.834
0.664 0.000 0.502
0.064 0.779 0.334
0.000 0.002 0.836
0.279 0.166 0.936
0.447 0.709 0.343
0.243 0.757 0.257
0.791 0.657 0.947
0.947 0.709 0.157
0.502 0.836 0.500
0.500 0.002 0.664
0.336 0.000 0.498
0.553 0.291 0.657
0.053 0.209 0.343
0.843 0.053 0.291
0.502 0.664 0.000
0.279 0.334 0.436
0.500 0.498 0.164
0.257 0.243 0.757
0.000 0.498 0.336
0.836 0.500 0.502
0.709 0.157 0.947
0.743 0.757 0.243
0.936 0.221 0.666
0.343 0.447 0.709
0.657 0.947 0.791
0.779 0.334 0.064
0.334 0.064 0.779
0.721 0.834 0.064
0.500 0.502 0.836
0.500 0.998 0.336
0.757 0.257 0.243
0.209 0.343 0.053
0.000 0.998 0.164
0.209 0.157 0.553
0.291 0.657 0.553
0.166 0.564 0.779
0.157 0.947 0.709
0.334 0.436 0.279
0.834 0.436 0.221
0.936 0.279 0.166
0.834 0.064 0.721
0.998 0.336 0.500
0.221 0.666 0.936
0.002 0.664 0.500
0.666 0.564 0.721
0.498 0.336 0.000
0.336 0.500 0.998
0.243 0.743 0.757
0.291 0.843 0.053
0.743 0.743 0.743
0.447 0.791 0.843
0.657 0.553 0.291
0.564 0.721 0.666
0.064 0.721 0.834
0.836 0.000 0.002
0.564 0.779 0.166
0.553 0.209 0.157
0.498 0.164 0.500
0.343 0.053 0.209
0.166 0.936 0.279
0.257 0.257 0.257
0.164 0.000 0.998
0.721 0.666 0.564
0.947 0.791 0.657
0.666 0.936 0.221
0.843 0.447 0.791
0.164 0.500 0.498
0.157 0.553 0.209
0.221 0.834 0.436
0.757 0.243 0.743
0.002 0.836 0.000
0.998 0.164 0.000
0.709 0.343 0.447
0.053 0.291 0.843
0.436 0.279 0.334
0.664 0.500 0.002
0.000 0.502 0.664
0.063 0.977 0.790
0.210 0.937 0.023
0.628 0.221 0.182
0.128 0.279 0.818
0.790 0.437 0.477
0.477 0.710 0.937
0.437 0.023 0.290
0.710 0.563 0.977
0.719 0.508 0.271
0.977 0.790 0.063
0.794 0.563 0.528
0.206 0.437 0.472
0.281 0.492 0.729
0.229 0.281 0.008
0.977 0.710 0.563
0.729 0.281 0.492
0.682 0.628 0.279
0.279 0.682 0.628
0.437 0.477 0.790
0.221 0.318 0.128
0.290 0.063 0.523
0.290 0.437 0.023
0.023 0.290 0.437
0.472 0.294 0.937
0.063 0.972 0.206
0.563 0.972 0.294
0.281 0.008 0.229
0.794 0.937 0.028
0.063 0.528 0.706
0.182 0.872 0.721
0.872 0.721 0.182
0.937 0.023 0.210
0.721 0.318 0.372
0.523 0.210 0.563
0.294 0.563 0.972
0.219 0.992 0.729
0.210 0.563 0.523
0.706 0.063 0.528
0.318 0.372 0.721
0.790 0.063 0.977
0.721 0.182 0.872
0.771 0.781 0.492
0.128 0.221 0.318
0.508 0.271 0.719
0.528 0.794 0.563
0.992 0.771 0.719
0.528 0.706 0.063
0.477 0.790 0.437
0.229 0.219 0.508
0.063 0.523 0.290
0.937 0.028 0.794
0.781 0.008 0.271
0.937 0.472 0.294
0.937 0.477 0.710
0.221 0.182 0.628
0.372 0.779 0.818
0.563 0.977 0.710
0.028 0.794 0.937
0.706 0.437 0.028
0.972 0.294 0.563
0.508 0.229 0.219
0.523 0.290 0.063
0.719 0.992 0.771
0.779 0.682 0.872
0.318 0.128 0.221
0.472 0.206 0.437
0.972 0.206 0.063
0.729 0.219 0.992
0.271 0.719 0.508
0.563 0.528 0.794
0.008 0.271 0.781
0.372 0.721 0.318
0.028 0.706 0.437
0.628 0.279 0.682
0.219 0.508 0.229
0.992 0.729 0.219
0.437 0.028 0.706
0.279 0.818 0.128
0.008 0.229 0.281
0.182 0.628 0.221
0.492 0.729 0.281
0.023 0.210 0.937
0.271 0.781 0.008
0.872 0.779 0.682
0.818 0.128 0.279
0.818 0.372 0.779
0.771 0.719 0.992
0.492 0.771 0.781
0.206 0.063 0.972
0.437 0.472 0.206
0.563 0.523 0.210
0.781 0.492 0.771
0.710 0.937 0.477
0.294 0.937 0.472
0.682 0.872 0.779
0.779 0.818 0.372
0.174 0.826 0.326
0.674 0.674 0.674
0.826 0.174 0.674
0.326 0.174 0.826
0.326 0.326 0.326
0.674 0.826 0.174
0.826 0.326 0.174
0.174 0.674 0.826
0.500 0.000 0.500
0.000 0.500 0.500
0.500 0.500 0.000
0.000 0.000 0.000
0.500 0.500 0.500
0.500 0.000 0.000
0.000 0.000 0.500
0.000 0.500 0.000
```

Calculated values
**M_tot**: 0.02 μB per atom
**Uncorrected energy**: -5.265 eV per atom
**Density**: 2.20 g cm⁻³

Number 1 is which compound?
Cs3P3HO9